# 1
A relaxed CeSe2 crystal. Source: the Materials Project, functional GGA-PBE.

```
data_CeSe2
_cell_length_a 14.3343
_cell_length_b 14.3343
_cell_length_c 5.8097
_cell_angle_alpha 90.00
_cell_angle_beta 90.00
_cell_angle_gamma 120.00
_space_group_name_H-M_alt 'P -3 1 m'
_space_group_IT_number 162
_space_group_name_Hall '-P 3 2'
loop_
_atom_site_label
_atom_site_fract_x
_atom_site_fract_y
_atom_site_fract_z
_atom_site_occupancy
Ce1 0.0000 0.3363 0.2290 1
Se1 0.0000 0.5000 0.0000 1
Se2 0.0000 0.5000 0.5000 1
Se3 0.1674 0.3347 0.0000 1
```

---

# 2
A relaxed PrInNi2 crystal. Source: the Materials Project, functional GGA-PBE.

```
data_PrInNi2
_cell_length_a 5.208
_cell_length_b 4.077
_cell_length_c 7.209
_cell_angle_alpha 90.00
_cell_angle_beta 90.00
_cell_angle_gamma 90.00
_space_group_name_H-M_alt 'P m m a'
_space_group_IT_number 51
loop_
_space_group_symop_operation_xyz
'x,y,z'
'-x,-y,-z'
'-x+1/2,-y,z'
'x+1/2,y,-z'
'x+1/2,-y,-z'
'-x+1/2,y,z'
'-x,y,-z'
'x,-y,z'
loop_
_atom_site_label
_atom_site_fract_x
_atom_site_fract_y
_atom_site_fract_z
_atom_site_occupancy
Pr1 0.250 0.000 0.224 1
In1 0.250 0.500 0.841 1
Ni1 0.000 0.500 0.500 1
Ni2 0.250 0.000 0.605 1
```

---

# 3
# SiC GGA-PBE relaxed
data_SiC
_cell_length_a 3.0945
_cell_length_b 3.0945
_cell_length_c 12.6620
_cell_angle_alpha 90.00
_cell_angle_beta 90.00
_cell_angle_gamma 120.00
_space_group_name_H-M_alt 'P 3 m 1'
_space_group_IT_number 156
loop_
_space_group_symop_operation_xyz
'x,y,z'
'-y,x-y,z'
'-x+y,-x,z'
'-y,-x,z'
'-x+y,y,z'
'x,x-y,z'
loop_
_atom_site_label
_atom_site_fract_x
_atom_site_fract_y
_atom_site_fract_z
_atom_site_occupancy
Si1 0.0000 0.0000 0.0000 1
Si2 0.0000 0.0000 0.4003 1
Si3 0.3333 0.6667 0.2001 1
Si4 0.3333 0.6667 0.6003 1
Si5 0.6667 0.3333 0.8002 1
C1 0.0000 0.0000 0.1500 1
C2 0.0000 0.0000 0.5506 1
C3 0.3333 0.6667 0.3504 1
C4 0.3333 0.6667 0.7504 1
C5 0.6667 0.3333 0.9502 1
# Largest piezoelectric modulus, C/m2: 0.13
# Relative energy among the computed polymorphs, meV per atom: 1

---

# 4
A relaxed CoPW crystal. Source: the Materials Project, functional GGA-PBE.

```
data_CoPW
_cell_length_a 5.788
_cell_length_b 3.752
_cell_length_c 6.729
_cell_angle_alpha 90.00
_cell_angle_beta 90.00
_cell_angle_gamma 90.00
_space_group_name_H-M_alt 'P n m a'
_space_group_IT_number 62
loop_
_space_group_symop_operation_xyz
'x,y,z'
'-x,-y,-z'
'-x+1/2,-y,z+1/2'
'x+1/2,y,-z+1/2'
'x+1/2,-y+1/2,-z+1/2'
'-x+1/2,y+1/2,z+1/2'
'-x,y+1/2,-z'
'x,-y+1/2,z'
loop_
_atom_site_label
_atom_site_fract_x
_atom_site_fract_y
_atom_site_fract_z
_atom_site_occupancy
Co1 0.140 0.250 0.069 1
P1 0.233 0.750 0.879 1
W1 0.033 0.250 0.669 1
```

---

# 5
A relaxed CaB2H10O crystal. Source: the Materials Project, functional GGA-PBE.

```
data_CaB2H10O
_cell_length_a 8.052
_cell_length_b 6.019
_cell_length_c 11.660
_cell_angle_alpha 90.00
_cell_angle_beta 90.00
_cell_angle_gamma 90.00
_space_group_name_H-M_alt 'P n m a'
_space_group_IT_number 62
loop_
_space_group_symop_operation_xyz
'x,y,z'
'-x,-y,-z'
'-x+1/2,-y,z+1/2'
'x+1/2,y,-z+1/2'
'x+1/2,-y+1/2,-z+1/2'
'-x+1/2,y+1/2,z+1/2'
'-x,y+1/2,-z'
'x,-y+1/2,z'
loop_
_atom_site_label
_atom_site_fract_x
_atom_site_fract_y
_atom_site_fract_z
_atom_site_occupancy
Ca1 0.149 0.250 0.085 1
B1 0.082 0.750 0.732 1
B2 0.123 0.750 0.075 1
H1 0.026 0.250 0.905 1
H2 0.069 0.250 0.284 1
H3 0.120 0.750 0.833 1
H4 0.122 0.621 0.378 1
H5 0.139 0.580 0.688 1
H6 0.161 0.594 0.012 1
H7 0.199 0.750 0.164 1
O1 0.150 0.750 0.425 1
```

---

# 6
A relaxed AlTlF4 crystal. Source: the Materials Project, functional GGA-PBE.

```
data_AlTlF4
_cell_length_a 5.206
_cell_length_b 5.206
_cell_length_c 12.977
_cell_angle_alpha 90.00
_cell_angle_beta 90.00
_cell_angle_gamma 90.00
_space_group_name_H-M_alt 'I 4/m c m'
_space_group_IT_number 140
_space_group_name_Hall '-I 4 2c'
loop_
_atom_site_label
_atom_site_fract_x
_atom_site_fract_y
_atom_site_fract_z
_atom_site_occupancy
Al1 0.000 0.000 0.000 1
Tl1 0.000 0.500 0.250 1
F1 0.000 0.000 0.138 1
F2 0.223 0.277 0.000 1
```

---

# 7
A relaxed Na8CaSi5Sn3SO24 crystal. Source: the Materials Project, functional GGA-PBE.

```
data_Na8CaSi5Sn3SO24
_cell_length_a 9.272
_cell_length_b 9.282
_cell_length_c 22.537
_cell_angle_alpha 90.36
_cell_angle_beta 90.54
_cell_angle_gamma 119.94
_space_group_name_H-M_alt 'P 1'
_space_group_IT_number 1
loop_
_space_group_symop_operation_xyz
'x,y,z'
loop_
_atom_site_label
_atom_site_fract_x
_atom_site_fract_y
_atom_site_fract_z
_atom_site_occupancy
Na1 0.000 0.000 0.000 1
Na2 0.003 0.376 0.519 1
Na3 0.250 0.979 0.511 1
Na4 0.255 0.619 0.004 1
Na5 0.297 0.329 0.918 1
Na6 0.302 0.697 0.675 1
Na7 0.315 0.327 0.436 1
Na8 0.320 0.965 0.186 1
Na9 0.327 0.024 0.835 1
Na10 0.341 0.671 0.345 1
Na11 0.603 0.306 0.359 1
Na12 0.611 0.656 0.836 1
Na13 0.632 0.990 0.259 1
Na14 0.639 0.997 0.758 1
Na15 0.650 0.621 0.511 1
Na16 0.662 0.369 0.007 1
Na17 0.668 0.709 0.185 1
Na18 0.673 0.332 0.675 1
Na19 0.919 0.314 0.173 1
Na20 0.936 0.958 0.675 1
Na21 0.970 0.641 0.099 1
Na22 0.970 0.663 0.589 1
Na23 0.973 0.011 0.355 1
Na24 0.983 0.313 0.838 1
Ca1 0.639 0.997 0.117 1
Ca2 0.968 0.667 0.448 1
Ca3 0.971 0.659 0.936 1
Si1 0.009 0.330 0.678 1
Si2 0.015 0.031 0.181 1
Si3 0.276 0.968 0.346 1
Si4 0.277 0.663 0.848 1
Si5 0.289 0.617 0.182 1
Si6 0.301 0.031 0.678 1
Si7 0.344 0.692 0.515 1
Si8 0.600 0.340 0.179 1
Si9 0.601 0.623 0.679 1
Si10 0.629 0.280 0.515 1
Si11 0.665 0.662 0.345 1
Si12 0.666 0.363 0.846 1
Si13 0.929 0.005 0.515 1
Si14 0.945 0.297 0.016 1
Si15 0.977 0.968 0.846 1
Sn1 0.291 0.327 0.084 1
Sn2 0.303 0.326 0.577 1
Sn3 0.305 0.330 0.776 1
Sn4 0.310 0.330 0.278 1
Sn5 0.623 0.980 0.415 1
Sn6 0.635 0.994 0.616 1
Sn7 0.655 0.010 0.905 1
Sn8 0.971 0.674 0.243 1
Sn9 0.974 0.662 0.745 1
S1 0.342 0.006 0.012 1
S2 0.628 0.691 0.012 1
S3 0.969 0.362 0.342 1
O1 0.010 0.906 0.908 1
O2 0.012 0.852 0.182 1
O3 0.091 0.296 0.738 1
O4 0.104 0.153 0.238 1
O5 0.111 0.180 0.516 1
O6 0.112 0.619 0.185 1
O7 0.119 0.341 0.339 1
O8 0.129 0.110 0.120 1
O9 0.130 0.368 0.621 1
O10 0.133 0.304 0.015 1
O11 0.133 0.845 0.684 1
O12 0.136 0.156 0.836 1
O13 0.160 0.667 0.513 1
O14 0.164 0.896 0.403 1
O15 0.171 0.864 0.008 1
O16 0.176 0.621 0.908 1
O17 0.188 0.705 0.792 1
O18 0.190 0.841 0.287 1
O19 0.260 0.508 0.119 1
O20 0.262 0.113 0.620 1
O21 0.298 0.158 0.339 1
O22 0.303 0.502 0.836 1
O23 0.314 0.526 0.239 1
O24 0.336 0.149 0.737 1
O25 0.341 0.168 0.013 1
O26 0.343 0.513 0.518 1
O27 0.419 0.986 0.066 1
O28 0.434 0.812 0.573 1
O29 0.441 0.016 0.958 1
O30 0.449 0.802 0.181 1
O31 0.451 0.770 0.453 1
O32 0.452 0.284 0.517 1
O33 0.465 0.835 0.853 1
O34 0.465 0.988 0.348 1
O35 0.469 0.011 0.676 1
O36 0.469 0.507 0.338 1
O37 0.475 0.520 0.011 1
O38 0.479 0.337 0.835 1
O39 0.483 0.543 0.737 1
O40 0.488 0.313 0.237 1
O41 0.513 0.372 0.118 1
O42 0.517 0.499 0.621 1
O43 0.604 0.169 0.453 1
O44 0.611 0.777 0.958 1
O45 0.621 0.178 0.177 1
O46 0.622 0.811 0.676 1
O47 0.635 0.780 0.067 1
O48 0.647 0.174 0.847 1
O49 0.653 0.194 0.574 1
O50 0.660 0.839 0.349 1
O51 0.724 0.458 0.909 1
O52 0.733 0.610 0.402 1
O53 0.781 0.678 0.010 1
O54 0.783 0.512 0.183 1
O55 0.786 0.640 0.685 1
O56 0.787 0.697 0.286 1
O57 0.790 0.463 0.513 1
O58 0.799 0.456 0.792 1
O59 0.802 0.979 0.845 1
O60 0.817 0.194 0.344 1
O61 0.817 0.981 0.573 1
O62 0.821 0.164 0.676 1
O63 0.827 0.999 0.181 1
O64 0.842 0.212 0.074 1
O65 0.843 0.032 0.453 1
O66 0.853 0.174 0.955 1
O67 0.942 0.836 0.791 1
O68 0.950 0.445 0.288 1
O69 0.951 0.843 0.514 1
O70 0.968 0.482 0.011 1
O71 0.993 0.461 0.396 1
O72 0.993 0.500 0.685 1
```

---

# 8
A relaxed FePH12C4Cl4 crystal. Source: the Materials Project, functional GGA-PBE.

```
data_FePH12C4Cl4
_cell_length_a 8.1188
_cell_length_b 8.1188
_cell_length_c 13.2727
_cell_angle_alpha 90.00
_cell_angle_beta 90.00
_cell_angle_gamma 120.00
_space_group_name_H-M_alt 'P 63 m c'
_space_group_IT_number 186
_space_group_name_Hall 'P 6c -2c'
loop_
_atom_site_label
_atom_site_fract_x
_atom_site_fract_y
_atom_site_fract_z
_atom_site_occupancy
Fe1 0.0000 0.0000 0.0000 1
P1 0.3333 0.6667 0.2566 1
H1 0.0208 0.3994 0.2396 1
H2 0.0944 0.5472 0.1289 1
H3 0.2594 0.5188 0.4184 1
C1 0.0930 0.5465 0.2117 1
C2 0.3333 0.6667 0.3917 1
Cl1 0.0000 0.0000 0.1665 1
Cl2 0.1489 0.2978 0.9458 1
```

---

The DFT total energy results, record by record, are as follows: -5.30; -5.16; -7.53; -8.94; -4.35; -5.27; -6.32; -4.91 eV/atom.